1.
{
  "formula": "Ag3AsF12",
  "functional": "r2SCAN",
  "state": "relaxed",
  "formation_energy_kcal_per_mol_atoms": -37.5,
  "crystal_system": "triclinic",
  "energy_ev_per_atom": -8.8930,
  "cell": [[5.129, -0.122, 0.219], [-0.139, 5.620, -0.890], [0.271, -0.082, 7.775]],
  "species": ["F", "F", "Ag", "F", "As", "Ag", "F", "F", "F", "F", "F", "F", "F", "Ag", "F", "F"],
  "fractional_positions": [[0.648, 0.192, 0.434], [0.693, 0.509, 0.809], [0.000, 0.000, 0.500], [0.830, 0.654, 0.423], [0.500, 0.500, 0.000], [0.000, 0.000, 0.000], [0.749, 0.364, 0.083], [0.170, 0.346, 0.577], [0.307, 0.491, 0.191], [0.884, 0.994, 0.755], [0.116, 0.006, 0.245], [0.370, 0.217, 0.912], [0.630, 0.783, 0.088], [0.500, 0.500, 0.500], [0.251, 0.636, 0.917], [0.352, 0.808, 0.566]]
}

***

2.
{
  "formula": "Na3MnO4",
  "functional": "r2SCAN",
  "state": "relaxed",
  "formation_energy_kcal_per_mol_atoms": -43.2,
  "crystal_system": "orthorhombic",
  "energy_ev_per_atom": -8.0327,
  "cell": [[0.000, 0.000, -5.461], [0.000, -7.026, 0.000], [-12.178, 0.000, 0.000]],
  "species": ["Mn", "O", "O", "Mn", "O", "Na", "Na", "O", "Na", "O", "Na", "O", "O", "O", "Na", "Na", "Na", "O", "Na", "O", "O", "O", "O", "O", "Mn", "Mn", "O", "O", "Na", "Na", "Na", "Na"],
  "fractional_positions": [[0.703, 0.750, 0.910], [0.393, 0.750, 0.907], [0.203, 0.250, 0.957], [0.297, 0.250, 0.090], [0.703, 0.750, 0.543], [0.216, 0.495, 0.837], [0.725, 0.250, 0.426], [0.200, 0.450, 0.156], [0.716, 0.995, 0.663], [0.800, 0.550, 0.844], [0.275, 0.750, 0.574], [0.200, 0.050, 0.156], [0.797, 0.750, 0.043], [0.300, 0.050, 0.656], [0.225, 0.750, 0.074], [0.784, 0.995, 0.163], [0.216, 0.005, 0.837], [0.297, 0.250, 0.457], [0.284, 0.495, 0.337], [0.700, 0.550, 0.344], [0.607, 0.250, 0.093], [0.800, 0.950, 0.844], [0.300, 0.450, 0.656], [0.107, 0.750, 0.407], [0.797, 0.750, 0.410], [0.203, 0.250, 0.590], [0.893, 0.250, 0.593], [0.700, 0.950, 0.344], [0.784, 0.505, 0.163], [0.716, 0.505, 0.663], [0.284, 0.005, 0.337], [0.775, 0.250, 0.926]]
}

***

3.
{
  "formula": "Na2GeS3",
  "functional": "r2SCAN",
  "state": "relaxed",
  "formation_energy_kcal_per_mol_atoms": -22.9,
  "crystal_system": "monoclinic",
  "energy_ev_per_atom": -8.5103,
  "cell": [[-0.880, -9.455, 12.026], [4.866, 2.314, 2.176], [-1.109, 5.365, 4.137]],
  "species": ["Na", "S", "S", "Ge", "Ge", "S", "Na", "Ge", "Na", "S", "S", "S", "S", "Na", "S", "S", "Na", "Na", "Ge", "S", "S", "Na", "S", "Na"],
  "fractional_positions": [[0.833, 0.019, 0.451], [0.067, 0.169, 0.174], [0.808, 0.302, 0.981], [0.671, 0.149, 0.050], [0.171, 0.351, 0.950], [0.433, 0.669, 0.174], [0.667, 0.519, 0.451], [0.829, 0.649, 0.050], [0.531, 0.839, 0.780], [0.143, 0.450, 0.614], [0.933, 0.831, 0.826], [0.357, 0.950, 0.614], [0.192, 0.698, 0.019], [0.969, 0.339, 0.780], [0.567, 0.331, 0.826], [0.857, 0.550, 0.386], [0.167, 0.981, 0.549], [0.469, 0.161, 0.220], [0.329, 0.851, 0.950], [0.643, 0.050, 0.386], [0.692, 0.802, 0.981], [0.031, 0.661, 0.220], [0.308, 0.198, 0.019], [0.333, 0.481, 0.549]]
}

***

4.
{
  "formula": "Ga3Pd7",
  "functional": "r2SCAN",
  "state": "relaxed",
  "formation_energy_kcal_per_mol_atoms": -13.6,
  "crystal_system": "monoclinic",
  "energy_ev_per_atom": -20.0934,
  "cell": [[-0.447, -3.758, 1.514], [5.412, -0.313, 0.823], [-2.299, 4.500, 5.005]],
  "species": ["Pd", "Ga", "Pd", "Ga", "Pd", "Pd", "Pd", "Ga", "Pd", "Pd"],
  "fractional_positions": [[0.206, 0.138, 0.412], [0.191, 0.664, 0.382], [0.374, 0.612, 0.747], [0.000, 0.000, 0.000], [0.794, 0.862, 0.588], [0.582, 0.857, 0.163], [0.418, 0.143, 0.837], [0.809, 0.336, 0.618], [0.000, 0.500, 0.000], [0.626, 0.388, 0.253]]
}

***

5.
{
  "formula": "Ni6W6C",
  "functional": "r2SCAN",
  "state": "relaxed",
  "formation_energy_kcal_per_mol_atoms": -1.3,
  "crystal_system": "cubic",
  "energy_ev_per_atom": -30.0576,
  "cell": [[0.000, 5.424, 5.424], [5.424, 0.000, 5.424], [5.424, 5.424, 0.000]],
  "species": ["Ni", "W", "W", "W", "Ni", "Ni", "C", "Ni", "W", "Ni", "Ni", "W", "Ni", "Ni", "Ni", "W", "Ni", "W", "C", "Ni", "Ni", "W", "W", "W", "W", "W"],
  "fractional_positions": [[0.833, 0.833, 0.500], [0.201, 0.799, 0.201], [0.201, 0.201, 0.799], [0.799, 0.201, 0.799], [0.417, 0.750, 0.417], [0.417, 0.417, 0.750], [0.000, 0.000, 0.000], [0.125, 0.625, 0.625], [0.799, 0.799, 0.201], [0.625, 0.125, 0.625], [0.500, 0.833, 0.833], [0.451, 0.451, 0.049], [0.417, 0.417, 0.417], [0.625, 0.625, 0.625], [0.833, 0.500, 0.833], [0.451, 0.049, 0.049], [0.625, 0.625, 0.125], [0.049, 0.451, 0.049], [0.250, 0.250, 0.250], [0.833, 0.833, 0.833], [0.750, 0.417, 0.417], [0.049, 0.451, 0.451], [0.049, 0.049, 0.451], [0.451, 0.049, 0.451], [0.799, 0.201, 0.201], [0.201, 0.799, 0.799]]
}

***

6.
{
  "formula": "Tl2WCl6",
  "functional": "r2SCAN",
  "state": "relaxed",
  "formation_energy_kcal_per_mol_atoms": -24.7,
  "crystal_system": "cubic",
  "energy_ev_per_atom": -22.6999,
  "cell": [[-3.244, -2.313, -5.731], [-0.704, -6.859, -1.084], [-6.287, -2.988, 0.514]],
  "species": ["W", "Cl", "Cl", "Tl", "Cl", "Cl", "Cl", "Cl", "Tl"],
  "fractional_positions": [[0.000, 0.000, 0.000], [0.759, 0.241, 0.241], [0.759, 0.759, 0.241], [0.250, 0.250, 0.250], [0.241, 0.241, 0.759], [0.759, 0.241, 0.759], [0.241, 0.759, 0.759], [0.241, 0.759, 0.241], [0.750, 0.750, 0.750]]
}

***

7.
{
  "formula": "Tb3Ir",
  "functional": "r2SCAN",
  "state": "relaxed",
  "formation_energy_kcal_per_mol_atoms": -14.9,
  "crystal_system": "orthorhombic",
  "energy_ev_per_atom": -37.1549,
  "cell": [[3.550, 5.309, -0.473], [-0.594, 1.032, 7.123], [7.742, -5.054, 1.378]],
  "species": ["Tb", "Tb", "Ir", "Tb", "Ir", "Tb", "Tb", "Ir", "Tb", "Tb", "Tb", "Tb", "Ir", "Tb", "Tb", "Tb"],
  "fractional_positions": [[0.676, 0.326, 0.935], [0.176, 0.174, 0.435], [0.956, 0.116, 0.750], [0.176, 0.174, 0.065], [0.044, 0.884, 0.250], [0.324, 0.674, 0.065], [0.134, 0.462, 0.750], [0.456, 0.384, 0.250], [0.676, 0.326, 0.565], [0.866, 0.538, 0.250], [0.366, 0.962, 0.750], [0.324, 0.674, 0.435], [0.544, 0.616, 0.750], [0.824, 0.826, 0.935], [0.634, 0.038, 0.250], [0.824, 0.826, 0.565]]
}

***

8.
{
  "formula": "Gd2Tl",
  "functional": "r2SCAN",
  "state": "relaxed",
  "formation_energy_kcal_per_mol_atoms": 10.8,
  "crystal_system": "trigonal",
  "energy_ev_per_atom": -46.1904,
  "cell": [[5.456, 0.000, 0.000], [-2.728, 4.725, 0.000], [0.000, 0.000, 6.733]],
  "species": ["Gd", "Tl", "Tl", "Gd", "Gd", "Gd"],
  "fractional_positions": [[0.667, 0.333, 0.248], [0.667, 0.333, 0.750], [0.333, 0.667, 0.250], [0.000, 0.000, 0.000], [0.333, 0.667, 0.752], [0.000, 0.000, 0.500]]
}